(1)
Here is a relaxed Pr3Sn5 crystal from the Materials Project. Energies are from PBE.

POSCAR file:
```
Pr3Sn5
1.0
5.142 -4.139 0.000
5.142 4.139 0.000
0.000 0.000 10.741
Pr Sn
6 10
Cartesian
5.142 3.008 8.056 Pr
3.066 0.000 0.000 Pr
3.066 0.000 5.370 Pr
7.219 0.000 0.000 Pr
7.219 0.000 5.370 Pr
5.142 -3.008 2.685 Pr
2.165 1.729 8.056 Sn
5.142 2.658 0.493 Sn
5.142 2.658 4.877 Sn
2.165 -1.729 2.685 Sn
5.142 0.213 2.685 Sn
5.142 -0.213 8.056 Sn
8.119 1.729 8.056 Sn
5.142 -2.658 5.864 Sn
5.142 -2.658 10.248 Sn
8.119 -1.729 2.685 Sn
```

Output
Calculated volume: 28.58 A^3/atom
Symmetry: No. 63
Uncorrected energy: -79.40 eV for the cell shown
Formation energy: -0.664 eV/atom

---

(2)
Here is a relaxed CeCrB4 crystal from the Materials Project. Energies are from PBE.

POSCAR file:
```
CeCrB4
1.0
5.961 0.000 0.000
0.000 11.524 0.000
0.000 0.000 3.549
Ce Cr B
4 4 16
Cartesian
0.739 1.741 0.000 Ce
2.241 7.503 0.000 Ce
3.719 4.021 0.000 Ce
5.222 9.783 0.000 Ce
0.737 4.824 0.000 Cr
2.244 10.586 0.000 Cr
3.717 0.938 0.000 Cr
5.224 6.699 0.000 Cr
0.146 7.950 1.775 B
0.668 6.291 1.775 B
0.834 11.143 1.775 B
1.317 9.416 1.775 B
1.664 3.654 1.775 B
2.146 5.382 1.775 B
2.312 0.529 1.775 B
2.834 2.188 1.775 B
3.127 9.336 1.775 B
3.648 10.995 1.775 B
3.814 6.142 1.775 B
4.297 7.870 1.775 B
4.644 2.108 1.775 B
5.127 0.380 1.775 B
5.293 5.233 1.775 B
5.814 3.574 1.775 B
```

Output
Calculated volume: 10.16 A^3/atom
Symmetry: No. 55
Uncorrected energy: -183.43 eV for the cell shown
Formation energy: -0.592 eV/atom

---

The highest calculated volume belongs to which entry?
Pr3Sn5